Density functional theory data (PBE) for an optimized crystal structure of La3Ag4Sn4.

## Properties
**ΔH_f (0 K)**: -6.5 eV per formula unit
**VASP energy**: -48.68 eV per formula unit

Unit cell a=4.778 b=7.504 c=15.827 alpha=90.00 beta=90.00 gamma=90.00
Space group Immm (No. 71)
Unique sites:
1 La 0.000 0.000 0.000 x2
2 La 0.000 0.500 0.131 x4
3 Ag 0.000 0.308 0.331 x8
4 Sn 0.000 0.000 0.216 x4
5 Sn 0.000 0.192 0.500 x4

Density functional theory data (PBE) for an optimized crystal structure of LaAgSn.

## Properties
**ΔH_f (0 K)**: -1.2 eV per formula unit
**VASP energy**: -12.99 eV per formula unit

Unit cell a=4.9107 b=4.9107 c=8.1245 alpha=90.00 beta=90.00 gamma=120.00
Space group P-3m1 (No. 164)
Unique sites:
1 La 0.0000 0.0000 0.2375 x2
2 Ag 0.3333 0.6667 0.0072 x2
3 Sn 0.3333 0.6667 0.4596 x2

Density functional theory data (PBE) for an optimized crystal structure of La2TlAg.

## Properties
**Distance to the lowest polymorph of the same formula**: 0.000 eV/atom
**ΔH_f (0 K)**: -1.4 eV per formula unit
**VASP energy**: -16.43 eV per formula unit

Unit cell a=7.857 b=7.857 c=7.857 alpha=90.00 beta=90.00 gamma=90.00
Space group Fm-3m (No. 225)
Unique sites:
1 La 0.250 0.250 0.250 x8
2 Tl 0.000 0.000 0.000 x4
3 Ag 0.000 0.000 0.500 x4

Density functional theory data (PBE) for an optimized crystal structure of LaTlAg2.

## Properties
**ΔH_f (0 K)**: -1.1 eV per formula unit
**VASP energy**: -14.06 eV per formula unit

Unit cell a=7.319 b=7.319 c=7.319 alpha=90.00 beta=90.00 gamma=90.00
Space group Fm-3m (No. 225)
Unique sites:
1 La 0.000 0.000 0.000 x4
2 Tl 0.000 0.000 0.500 x4
3 Ag 0.250 0.250 0.250 x8

Density functional theory data (PBE) for an optimized crystal structure of Li8Ag5.

## Properties
**ΔH_f (0 K)**: -2.6 eV per formula unit
**VASP energy**: -32.07 eV per formula unit

Unit cell a=9.616 b=9.616 c=9.616 alpha=90.00 beta=90.00 gamma=90.00
Space group I-43m (No. 217)
Unique sites:
1 Li 0.032 0.315 0.685 x24
2 Li 0.115 0.115 0.885 x8
3 Ag 0.000 0.000 0.353 x12
4 Ag 0.172 0.172 0.172 x8

Density functional theory data (PBE) for an optimized crystal structure of Li3Ag2.

## Properties
**ΔH_f (0 K)**: -1.0 eV per formula unit
**VASP energy**: -12.37 eV per formula unit

Unit cell a=3.341 b=3.341 c=14.920 alpha=90.00 beta=90.00 gamma=90.00
Space group P4/mmm (No. 123)
Unique sites:
1 Li 0.000 0.000 0.000 x1
2 Li 0.000 0.000 0.200 x2
3 Li 0.000 0.000 0.392 x2
4 Li 0.500 0.500 0.500 x1
5 Ag 0.500 0.500 0.100 x2
6 Ag 0.500 0.500 0.299 x2

Density functional theory data (PBE) for an optimized crystal structure of LiAg2Pd.

## Properties
**ΔH_f (0 K)**: -0.8 eV per formula unit
**VASP energy**: -13.58 eV per formula unit

Unit cell a=6.418 b=6.418 c=6.418 alpha=90.00 beta=90.00 gamma=90.00
Space group Fm-3m (No. 225)
Unique sites:
1 Li 0.000 0.000 0.000 x4
2 Ag 0.250 0.250 0.250 x8
3 Pd 0.000 0.000 0.500 x4

Density functional theory data (PBE) for an optimized crystal structure of Li3Ag3Sn2.

## Properties
**ΔH_f (0 K)**: -2.2 eV per formula unit
**VASP energy**: -24.47 eV per formula unit

Unit cell a=4.7127 b=4.7127 c=22.9623 alpha=90.00 beta=90.00 gamma=120.00
Space group R3m (No. 160, hexagonal axes)
Unique sites:
1 Li 0.0000 0.0000 0.0000 x3
2 Li 0.0000 0.0000 0.1254 x3
3 Li 0.0000 0.0000 0.5012 x3
4 Ag 0.0000 0.0000 0.2495 x3
5 Ag 0.0000 0.0000 0.6257 x3
6 Ag 0.0000 0.0000 0.7512 x3
7 Sn 0.0000 0.0000 0.3764 x3
8 Sn 0.0000 0.0000 0.8746 x3

Density functional theory data (PBE) for an optimized crystal structure of Li2TlAg.

## Properties
**ΔH_f (0 K)**: -0.9 eV per formula unit
**VASP energy**: -9.91 eV per formula unit

Unit cell a=6.626 b=6.626 c=6.626 alpha=90.00 beta=90.00 gamma=90.00
Space group Fm-3m (No. 225)
Unique sites:
1 Li 0.250 0.250 0.250 x8
2 Tl 0.000 0.000 0.000 x4
3 Ag 0.000 0.000 0.500 x4

Density functional theory data (PBE) for an optimized crystal structure of Li2TlAg.

## Properties
**ΔH_f (0 K)**: -0.9 eV per formula unit
**VASP energy**: -9.87 eV per formula unit

Unit cell a=6.727 b=6.727 c=6.727 alpha=90.00 beta=90.00 gamma=90.00
Space group F-43m (No. 216)
Unique sites:
1 Li 0.000 0.000 0.000 x4
2 Li 0.250 0.250 0.250 x4
3 Tl 0.250 0.250 0.750 x4
4 Ag 0.000 0.000 0.500 x4

Density functional theory data (PBE) for an optimized crystal structure of LiZn2Ag.

## Properties
**ΔH_f (0 K)**: -0.7 eV per formula unit
**VASP energy**: -7.97 eV per formula unit

Unit cell a=6.271 b=6.271 c=6.271 alpha=90.00 beta=90.00 gamma=90.00
Space group Fm-3m (No. 225)
Unique sites:
1 Li 0.000 0.000 0.000 x4
2 Zn 0.250 0.250 0.250 x8
3 Ag 0.000 0.000 0.500 x4

Density functional theory data (PBE) for an optimized crystal structure of LuAg4.

## Properties
**ΔH_f (0 K)**: -1.2 eV per formula unit
**VASP energy**: -17.01 eV per formula unit

Unit cell a=6.806 b=6.806 c=4.155 alpha=90.00 beta=90.00 gamma=90.00
Space group I4/m (No. 87)
Unique sites:
1 Lu 0.000 0.000 0.000 x2
2 Ag 0.098 0.697 0.500 x8